VASP calculation (PBE-GGA) on a geometry-optimized Mn5Si2 structure.

As for the symmetry: P4_12_12. The calculation puts the formation energy at -0.1658 eV per atom. Its final energy is -463.71 eV per cell. The magnetization comes out at 0.5621 μB/atom. Its offset from the most stable computed form is 93.2 meV/atom.

```
Mn5Si2
1.0
8.688 0.000 0.000
0.000 8.688 0.000
0.000 0.000 8.830
Mn Si
40 16
Cartesian
8.004 2.816 3.738
0.683 5.872 8.153
7.160 5.027 1.530
1.528 3.660 5.945
5.872 0.683 0.677
2.816 8.004 5.092
5.027 7.160 7.300
3.660 1.528 2.885
5.834 2.334 5.261
2.854 6.354 0.846
6.677 7.198 3.054
2.010 1.490 7.469
6.354 2.854 7.984
2.334 5.834 3.569
7.198 6.677 5.776
1.490 2.010 1.361
5.495 3.193 2.208
3.193 5.495 6.623
7.537 7.537 0.000
1.151 1.151 4.415
8.330 0.358 2.208
0.358 8.330 6.623
4.702 4.702 0.000
3.986 3.986 4.415
7.561 0.399 4.711
1.127 8.289 0.296
4.743 5.471 2.503
3.945 3.217 6.918
8.289 1.127 8.534
0.399 7.561 4.119
5.471 4.743 6.327
3.217 3.945 1.912
8.334 1.945 6.225
0.354 6.743 1.810
6.289 4.698 4.018
2.399 3.990 8.433
6.743 0.354 7.020
1.945 8.334 2.605
4.698 6.289 4.812
3.990 2.399 0.397
7.682 4.119 5.840
1.006 4.569 1.425
8.463 5.350 3.633
0.225 3.338 8.048
4.569 1.006 7.405
4.119 7.682 2.990
5.350 8.463 5.197
3.338 0.225 0.782
7.586 2.572 1.355
1.102 6.116 5.770
6.916 5.446 7.977
1.772 3.242 3.562
6.116 1.102 3.060
2.572 7.586 7.475
5.446 6.916 0.853
3.242 1.772 5.268
```

---

VASP calculation (PBE-GGA) on a geometry-optimized Mn11Si19 structure.

As for the symmetry: P-4n2. The calculation puts the formation energy at -0.3816 eV per atom. Its final energy is -866.64 eV per cell. The magnetization comes out at 0.0003 μB/atom.

```
Mn11Si19
1.0
5.491 0.000 0.000
0.000 5.491 0.000
0.000 0.000 47.722
Mn Si
44 76
Cartesian
0.000 2.745 24.989
0.000 2.745 20.532
2.745 0.000 5.322
2.745 2.745 45.458
2.745 0.000 27.191
2.745 2.745 36.784
2.745 0.000 22.734
0.000 2.745 33.705
2.745 0.000 44.393
0.000 2.745 29.183
2.745 0.000 14.017
2.745 0.000 40.140
0.000 0.000 43.429
0.000 0.000 21.597
0.000 2.745 37.878
0.000 0.000 12.923
2.745 2.745 28.154
2.745 2.745 2.264
0.000 0.000 0.000
0.000 0.000 34.799
2.745 2.745 6.448
2.745 0.000 18.539
2.745 2.745 41.274
2.745 2.745 10.938
0.000 2.745 16.279
0.000 2.745 3.330
2.745 0.000 1.127
0.000 2.745 7.582
2.745 2.745 19.568
2.745 0.000 31.443
0.000 0.000 4.293
2.745 0.000 35.792
2.745 2.745 23.861
0.000 0.000 30.310
0.000 0.000 39.018
0.000 2.745 46.595
2.745 2.745 32.565
2.745 0.000 9.844
0.000 2.745 11.931
0.000 0.000 26.125
2.745 2.745 15.157
0.000 0.000 17.413
0.000 2.745 42.400
0.000 0.000 8.704
1.756 1.879 13.118
1.905 1.421 8.193
1.906 3.941 17.027
0.844 3.867 14.343
3.654 0.909 11.931
3.623 4.535 20.677
0.956 3.623 27.045
3.586 1.260 47.042
1.073 0.846 45.743
1.550 1.906 30.695
3.585 1.550 17.027
4.295 0.840 6.834
1.486 4.650 24.541
4.613 1.789 44.538
1.421 3.586 39.529
1.891 4.458 29.432
0.840 1.196 40.888
1.789 0.878 3.184
1.899 1.672 25.841
4.647 1.624 14.343
4.166 4.651 15.668
4.645 1.073 1.980
1.713 4.636 42.152
4.070 1.905 39.529
1.855 1.814 43.346
0.909 1.837 35.792
3.592 3.819 25.841
1.624 0.844 33.379
3.867 4.647 33.379
1.260 1.905 0.680
4.369 1.902 9.518
4.651 4.295 40.888
1.196 4.651 6.834
4.559 4.600 28.237
1.814 3.636 4.376
4.418 4.645 45.743
3.941 3.585 30.695
4.231 3.586 0.680
0.890 4.559 19.485
4.600 0.932 19.485
3.589 4.369 38.204
0.932 0.890 28.237
3.702 4.613 3.184
4.005 0.840 24.541
1.902 1.122 38.204
4.636 3.778 5.571
3.600 1.033 29.432
3.778 0.854 42.152
1.672 3.592 21.881
1.033 1.891 18.290
0.840 4.166 32.054
1.905 4.231 47.042
0.989 4.624 36.980
4.624 4.502 10.743
4.502 0.866 36.980
4.650 4.005 23.181
4.458 3.600 18.290
4.535 1.868 27.045
3.735 3.612 13.118
1.122 3.589 9.518
1.325 0.840 15.668
3.819 1.899 21.881
3.677 1.855 4.376
1.868 0.956 20.677
0.854 1.713 5.571
4.651 1.325 32.054
4.582 3.654 35.792
3.586 4.070 8.193
0.866 0.989 10.743
1.837 4.582 11.931
3.636 3.677 43.346
1.879 3.735 34.604
0.878 3.702 44.538
0.840 1.486 23.181
3.612 1.756 34.604
0.846 4.418 1.980
```

---

VASP calculation (PBE-GGA) on a geometry-optimized Mn14Si23 structure.

As for the symmetry: Pnnm. The calculation puts the formation energy at 0.1951 eV per atom. Its final energy is -494.93 eV per cell. The magnetization comes out at 0.5477 μB/atom.

```
Mn14Si23
1.0
4.987 0.000 0.000
0.000 13.628 0.000
0.000 0.000 13.981
Mn Si
28 46
Cartesian
2.493 3.507 7.571
2.493 2.904 10.309
0.000 3.307 0.580
0.000 5.863 13.152
0.000 9.718 10.662
2.493 12.677 7.820
2.493 2.030 0.364
2.493 7.791 2.404
2.493 10.120 6.411
0.000 12.092 3.603
2.493 6.990 8.065
2.493 10.723 3.672
2.493 8.350 10.594
2.493 6.638 5.916
2.493 5.837 11.577
0.000 0.977 4.586
0.000 4.784 7.355
0.000 12.651 9.395
0.000 7.764 0.829
0.000 1.536 10.378
0.000 13.451 1.074
0.000 3.910 3.319
0.000 0.176 12.907
2.493 11.598 13.617
2.493 5.278 3.388
2.493 0.951 6.161
0.000 8.843 6.627
0.000 10.321 13.401
0.000 4.244 11.468
3.659 1.318 8.483
2.493 10.165 11.849
1.360 8.333 4.593
2.493 13.456 1.181
3.700 4.607 5.399
1.286 4.607 5.399
0.000 10.277 4.858
2.493 0.257 10.307
1.286 9.021 8.582
0.000 2.511 6.479
3.821 5.496 1.493
1.360 5.294 9.389
3.780 11.421 1.591
2.493 11.058 9.504
1.165 8.132 12.489
3.821 8.132 12.489
0.000 6.557 3.317
3.626 8.333 4.593
3.626 5.294 9.389
3.780 2.207 12.390
0.000 11.116 7.502
2.493 2.570 4.477
1.165 5.496 1.493
2.493 9.325 0.511
1.207 2.207 12.390
0.000 0.000 6.991
2.493 0.172 12.800
3.700 9.021 8.582
1.328 12.309 5.498
3.854 12.108 11.583
0.000 9.384 2.513
2.493 13.371 3.674
0.000 3.351 9.123
1.207 11.421 1.591
0.000 7.071 10.665
1.328 1.318 8.483
3.854 1.520 2.398
3.659 12.309 5.498
2.493 4.302 13.470
2.493 6.814 0.000
0.000 6.986 8.172
2.493 3.463 2.132
1.133 12.108 11.583
1.133 1.520 2.398
0.000 6.642 5.809
```

---

VASP calculation (PBE-GGA) on a geometry-optimized Mn5Si2 structure.

As for the symmetry: P4_12_12. The calculation puts the formation energy at -0.2590 eV per atom. Its final energy is -468.93 eV per cell. The magnetization comes out at 0.6428 μB/atom. Its offset from the most stable computed form is 0.0 meV/atom.

```
Mn5Si2
1.0
-0.658 8.481 0.647
-2.802 0.412 -8.251
-8.234 -0.849 2.754
Mn Si
40 16
Cartesian
-9.532 -0.377 -4.748
-6.030 -0.238 -3.004
-5.305 7.672 -4.490
-4.835 6.538 -2.244
-3.218 2.474 -7.579
-7.166 1.283 -5.013
-8.268 -0.456 1.577
-2.429 1.172 -0.721
-2.630 0.896 -5.387
-6.711 5.857 -3.248
-5.335 4.042 -2.170
-8.841 4.270 0.317
-4.936 1.583 -1.649
-1.240 0.783 -3.212
-8.983 2.187 -1.366
-8.875 6.589 -2.003
-6.474 7.251 1.826
-1.833 4.181 -0.426
-4.557 5.114 -4.414
-4.595 1.103 0.676
-9.135 5.212 -4.256
-4.422 5.400 0.059
-2.617 7.135 -0.818
-3.144 4.864 -6.705
-6.905 2.111 -2.561
-2.924 2.817 -2.744
-3.913 7.520 1.619
-8.475 5.570 2.729
-4.942 2.074 -4.087
-7.002 5.687 -5.622
-2.808 7.111 -3.388
-10.222 4.275 -1.867
-5.443 3.672 -6.457
-6.588 2.952 -0.164
-6.937 0.351 -0.634
-8.012 3.511 -6.242
-7.583 3.219 2.336
-6.751 5.971 -0.764
-9.205 2.570 -3.906
-4.393 8.462 -6.909
-3.128 3.166 -5.169
-7.926 7.432 -4.383
-5.104 1.365 -6.350
-8.698 6.596 0.449
-3.527 0.375 -3.094
-6.527 1.076 1.970
-6.456 4.962 1.369
-8.440 0.427 -2.795
-7.901 4.245 -2.017
-2.938 7.056 -5.710
-5.103 6.152 -6.882
-6.741 3.683 -4.302
-3.963 3.136 -0.275
-8.819 1.804 0.922
-3.058 5.093 -2.247
-5.219 7.785 -0.288
```

---

VASP calculation (PBE-GGA) on a geometry-optimized SmMnSi structure.

As for the symmetry: P4/nmm. The calculation puts the formation energy at -0.5064 eV per atom. Its final energy is -41.79 eV per cell. The magnetization comes out at 0.6498 μB/atom.

```
SmMnSi
1.0
3.972 0.000 0.000
0.000 3.972 0.000
0.000 0.000 7.333
Sm Mn Si
2 2 2
Cartesian
0.000 1.986 2.400
1.986 0.000 4.933
0.000 0.000 0.000
1.986 1.986 0.000
0.000 1.986 5.930
1.986 0.000 1.403
```

---

VASP calculation (PBE-GGA) on a geometry-optimized SmMnSi2 structure.

As for the symmetry: Cmcm. The calculation puts the formation energy at -0.5977 eV per atom. Its final energy is -54.53 eV per cell.

```
SmMnSi2
1.0
-0.691 0.325 3.905
-2.205 3.273 -0.663
-8.217 -3.326 -1.177
Sm Mn Si
2 2 4
Cartesian
-4.162 2.513 2.095
-6.950 -2.241 -0.030
-5.172 -0.597 2.175
-5.940 0.869 -0.110
-7.327 0.305 1.718
-3.785 -0.033 0.346
-9.326 -1.089 1.481
-1.786 1.361 0.584
```

---

VASP calculation (PBE-GGA) on a geometry-optimized Sm2MnSi2 structure.

As for the symmetry: P4/mmm. The calculation puts the formation energy at 0.8796 eV per atom. Its final energy is -25.19 eV per cell. The magnetization comes out at 0.5964 μB/atom.

```
Sm2MnSi2
1.0
-0.982 -2.462 -1.158
-0.678 -0.971 2.639
-12.711 5.629 -1.194
Sm Mn Si
2 1 2
Cartesian
-8.777 1.803 -0.006
-5.594 0.393 0.293
-0.830 -1.717 0.741
-2.939 -0.783 0.542
-11.432 2.979 -0.255
```

---

VASP calculation (PBE-GGA) on a geometry-optimized SrMn2Si structure.

As for the symmetry: F-43m. The calculation puts the formation energy at 0.5284 eV per atom. Its final energy is -23.40 eV per cell. The magnetization comes out at 0.1517 μB/atom.

```
SrMn2Si
1.0
-3.329 2.054 2.879
-3.004 3.374 -1.784
-4.708 -1.022 -0.617
Sr Mn Si
1 2 1
Cartesian
-2.760 1.101 0.119
0.000 0.000 0.000
-8.281 3.304 0.358
-5.521 2.203 0.238
```

---

VASP calculation (PBE-GGA) on a geometry-optimized TaMnSi structure.

As for the symmetry: P-62m. The calculation puts the formation energy at -0.5285 eV per atom. Its final energy is -84.30 eV per cell.

```
TaMnSi
1.0
2.565 -2.049 -1.144
0.841 3.866 -5.040
3.253 1.048 5.420
Ta Mn Si
3 3 3
Cartesian
3.200 -0.407 2.622
1.778 1.254 -3.542
2.964 0.993 -0.416
0.802 0.258 1.336
0.207 0.953 -1.242
3.085 3.703 0.286
2.449 1.987 1.933
1.645 2.927 -1.553
1.283 -1.025 -0.572
```

---

VASP calculation (PBE-GGA) on a geometry-optimized TaMnSi structure.

As for the symmetry: Ima2. The calculation puts the formation energy at -0.5476 eV per atom. Its final energy is -168.95 eV per cell. The magnetization comes out at 0.0127 μB/atom.

```
TaMnSi
1.0
-3.199 3.526 5.496
3.199 -3.526 5.496
3.199 3.526 -5.496
Ta Mn Si
6 6 6
Cartesian
-1.310 1.763 3.320
1.889 1.763 2.176
-1.446 1.763 7.906
1.753 1.763 -2.410
2.639 1.763 5.510
2.639 -1.763 5.482
3.974 0.218 1.350
0.775 3.307 4.146
0.775 -0.218 6.846
0.775 0.218 4.146
1.616 3.526 0.000
1.616 0.000 0.000
3.171 0.039 3.656
-0.028 3.487 1.840
3.171 3.487 3.656
-0.028 0.039 1.840
0.020 1.763 5.761
3.220 1.763 -0.265
```

---

VASP calculation (PBE-GGA) on a geometry-optimized ThMn2Si2 structure.

As for the symmetry: I4/mmm. The calculation puts the formation energy at -0.5910 eV per atom. Its final energy is -39.69 eV per cell.

```
ThMn2Si2
1.0
-1.991 1.991 5.228
1.991 -1.991 5.228
1.991 1.991 -5.228
Th Mn Si
1 2 2
Cartesian
0.000 0.000 0.000
0.000 1.991 2.614
1.991 0.000 2.614
0.000 0.000 3.939
0.000 0.000 6.517
```

---

Repeat the fifth record exactly.
VASP calculation (PBE-GGA) on a geometry-optimized SmMnSi structure.

As for the symmetry: P4/nmm. The calculation puts the formation energy at -0.5064 eV per atom. Its final energy is -41.79 eV per cell. The magnetization comes out at 0.6498 μB/atom.

```
SmMnSi
1.0
3.972 0.000 0.000
0.000 3.972 0.000
0.000 0.000 7.333
Sm Mn Si
2 2 2
Cartesian
0.000 1.986 2.400
1.986 0.000 4.933
0.000 0.000 0.000
1.986 1.986 0.000
0.000 1.986 5.930
1.986 0.000 1.403
```

---

Q: What is the formula in the fifth record?
A: SmMnSi

---

Q: final energy of number 7 (Sm2MnSi2)?
A: -25.19 eV per cell